Record 1
An optimized crystal structure of Na14Si11Ge8SO48. Source: the Materials Project database, functional PBE-GGA.

## Properties
* total DFT energy (no corrections): -1593.44 eV per cell
* energy of formation from the pure elements: -2.53 eV/atom
* total moment: 0.00 μB/cell

a b c (Å): 17.4925 8.7470 21.6869
angles (deg): 90.25 90.20 120.01
Last column: nearest neighbours and their distance in Å.
Element x y z (fractional)
O 0.0765 0.6432 0.0764  1 Si 1.64
O 0.7550 0.1494 0.9225  1 Si 1.64
O 0.4250 0.3601 0.9226  1 Si 1.64
O 0.9084 0.2973 0.2435  1 Si 1.66
O 0.3193 0.1485 0.4222  1 Si 1.64
O 0.5781 0.9729 0.9107  1 Si 1.64
O 0.8115 0.1332 0.1450  1 Si 1.63
O 0.0146 0.1838 0.9089  1 Si 1.65
O 0.5142 0.8448 0.4089  1 Si 1.65
O 0.7451 0.8513 0.0780  1 Si 1.64
O 0.1798 0.5079 0.0778  1 Si 1.64
O 0.2681 0.7101 0.9769  1 Si 1.64
O 0.7537 0.1313 0.6443  1 Si 1.63
O 0.8549 0.5362 0.5223  1 Si 1.63
O 0.9204 0.8143 0.5873  1 Si 1.65
O 0.4212 0.8149 0.5899  1 Si 1.64
O 0.2297 0.1709 0.5224  1 Si 1.64
O 0.0692 0.6242 0.3574  1 Si 1.62
O 0.2572 0.3757 0.1427  1 Si 1.62
O 0.7572 0.3758 0.1426  1 Si 1.62
O 0.5892 0.4887 0.2563  1 Si 1.63
O 0.4135 0.2893 0.5222  1 Si 1.63
O 0.7298 0.2886 0.0222  1 Si 1.65
O 0.9259 0.4920 0.4222  1 Si 1.64
O 0.7678 0.8260 0.4770  1 Si 1.64
O 0.5854 0.7113 0.4777  1 Si 1.64
O 0.1433 0.4567 0.4780  1 Si 1.64
O 0.4146 0.5436 0.0220  1 Si 1.64
O 0.9200 0.0268 0.0880  1 Si 1.65
O 0.2559 0.1353 0.6425  1 Si 1.63, 1 Ge 1.82
O 0.7473 0.6236 0.8560  1 Si 1.63
O 0.8198 0.4892 0.9226  1 Si 1.64
O 0.6454 0.8283 0.9773  1 Si 1.64
O 0.5919 0.1552 0.0910  1 Si 1.65
O 0.4257 0.4923 0.4222  1 Si 1.65
O 0.1044 0.1798 0.8062  1 S 1.48
O 0.9146 0.5434 0.0219  1 Si 1.64
O 0.2596 0.7025 0.2565  1 Si 1.66
O 0.0893 0.4887 0.2563  1 Si 1.63
O 0.9149 0.2863 0.5220  1 Si 1.64
O 0.4400 0.3811 0.6433  1 Si 1.64, 1 Ge 1.82
O 0.2323 0.1584 0.2467  1 S 1.48
O 0.9257 0.3589 0.9224  1 Si 1.64
O 0.2581 0.8140 0.7566  1 Si 1.64
O 0.3986 0.8370 0.1896  1 Si 1.65
O 0.3116 0.4908 0.6449  1 Si 1.65
O 0.5788 0.1789 0.4080  1 Si 1.65
O 0.0918 0.1551 0.0910  1 Si 1.65
O 0.0918 0.0287 0.5907  1 Si 1.65
O 0.4865 0.1558 0.5886  1 Si 1.64
O 0.9815 0.7997 0.8107  1 Si 1.66, 1 Ge 1.84
O 0.3963 0.9576 0.6892  1 Si 1.65
O 0.4065 0.9731 0.4121  1 Si 1.65
O 0.0855 0.7117 0.4779  1 Si 1.65
O 0.5890 0.9720 0.1935  1 S 1.49
O 0.3448 0.5112 0.2436  1 Si 1.63
O 0.6012 0.1605 0.8107  1 Si 1.64
O 0.2451 0.6393 0.5779  1 Si 1.64
O 0.6883 0.8705 0.8558  1 Si 1.64
O 0.4774 0.7944 0.8105  1 Si 1.64
O 0.1531 0.8416 0.2534  1 S 1.48
O 0.9112 0.5233 0.7440  1 Si 1.64
O 0.6032 0.0281 0.3064  1 S 1.49
O 0.5691 0.6240 0.3573  1 Si 1.62
O 0.2447 0.8669 0.3550  1 Si 1.63
O 0.7596 0.7025 0.2564  1 Si 1.66
O 0.5863 0.4624 0.9774  1 Si 1.64
O 0.5870 0.6914 0.7554  1 Si 1.64
O 0.1433 0.8300 0.9779  1 Si 1.64
O 0.0903 0.6913 0.7566  1 Si 1.63
O 0.0183 0.2043 0.1885  1 Si 1.64, 1 Ge 1.83
O 0.8449 0.5112 0.2436  1 Si 1.63
O 0.9894 0.1590 0.5925  1 Si 1.65
O 0.7450 0.6400 0.5771  1 Si 1.64
O 0.2446 0.6223 0.8548  1 Si 1.64
O 0.4088 0.5144 0.7437  1 Si 1.66
O 0.9396 0.4940 0.1409  1 Si 1.62, 1 Ge 1.79
O 0.2548 0.3568 0.4236  1 Si 1.64
O 0.4177 0.0445 0.8104  1 Si 1.65
O 0.9342 0.3798 0.6420  1 Si 1.62
O 0.0793 0.9794 0.9085  1 Si 1.65
O 0.4162 0.7957 0.3116  1 Si 1.64, 1 Ge 1.83
O 0.5758 0.5104 0.5768  1 Si 1.64
O 0.9074 0.8405 0.9129  1 Si 1.65
O 0.4084 0.2973 0.2435  1 Si 1.66
O 0.6531 0.8416 0.2534  1 S 1.48
O 0.8547 0.1739 0.0230  1 Si 1.64
O 0.7415 0.3076 0.7446  1 Si 1.63
O 0.5798 0.2041 0.6894  1 Si 1.64
O 0.0856 0.4596 0.9777  1 Si 1.64
O 0.4894 0.8211 0.0921  1 Si 1.65
O 0.1032 0.0281 0.3064  1 S 1.49
O 0.7448 0.8669 0.3549  1 Si 1.63
O 0.3546 0.1744 0.0230  1 Si 1.64
O 0.9002 0.9598 0.6895  1 Si 1.64
O 0.2675 0.8254 0.4772  1 Si 1.64
O 0.5132 0.1836 0.9107  1 Si 1.64
O 0.0890 0.9720 0.1935  1 S 1.49
O 0.1925 0.5060 0.3591  1 Si 1.61, 1 Ge 1.79
O 0.9894 0.8210 0.0920  1 Si 1.65
O 0.0143 0.8448 0.4089  1 Si 1.65
O 0.6431 0.4568 0.4779  1 Si 1.64
O 0.6924 0.5060 0.3591  1 Si 1.62, 1 Ge 1.79
O 0.6797 0.5077 0.0778  1 Si 1.65
O 0.2550 0.1531 0.9236  1 Si 1.64
O 0.3471 0.1804 0.7431  1 Si 1.65
O 0.3547 0.5361 0.5234  1 Si 1.64
O 0.1924 0.8789 0.8590  1 Si 1.61, 1 Ge 1.79
O 0.3114 0.1330 0.1450  1 Si 1.63
O 0.0752 0.5093 0.5774  1 Si 1.64
O 0.8986 0.8370 0.1896  1 Si 1.66
O 0.0789 0.1789 0.4081  1 Si 1.65
O 0.5764 0.6434 0.0765  1 Si 1.64
O 0.7311 0.1714 0.5226  1 Si 1.64
O 0.5183 0.2043 0.1885  1 Si 1.64, 1 Ge 1.83
O 0.9066 0.9731 0.4120  1 Si 1.65
O 0.1797 0.8510 0.5777  1 Si 1.64
O 0.7603 0.8256 0.7556  1 Si 1.66
O 0.4072 0.8429 0.9102  1 Si 1.65
O 0.5648 0.5062 0.8558  1 Si 1.64
O 0.0195 0.8343 0.6884  1 Si 1.64, 1 Ge 1.83
O 0.7323 0.1584 0.2467  1 S 1.48
O 0.5916 0.0261 0.5892  1 Si 1.65
O 0.9180 0.0364 0.8120  1 Si 1.63, 1 Ge 1.82
O 0.1537 0.4647 0.7535  1 S 1.48
O 0.4803 0.1632 0.3104  1 Si 1.65
O 0.2333 0.3067 0.7462  1 S 1.49
O 0.3193 0.4910 0.9219  1 Si 1.64
O 0.8195 0.1486 0.4220  1 Si 1.64
O 0.4199 0.0268 0.0881  1 Si 1.65
O 0.0685 0.5132 0.8575  1 Si 1.62
O 0.2451 0.8512 0.0776  1 Si 1.64
O 0.8445 0.1750 0.7444  1 Si 1.62
O 0.8114 0.4938 0.6441  1 Si 1.63
O 0.9162 0.7956 0.3115  1 Si 1.64, 1 Ge 1.82
O 0.4396 0.4939 0.1409  1 Si 1.62, 1 Ge 1.79
O 0.7548 0.3565 0.4236  1 Si 1.64
O 0.2296 0.2887 0.0223  1 Si 1.64
O 0.5204 0.8372 0.6892  1 Si 1.64
O 0.6531 0.4834 0.7559  1 Si 1.65
O 0.7685 0.7098 0.9780  1 Si 1.63
O 0.0897 0.2060 0.6934  1 S 1.49
O 0.9804 0.1633 0.3104  1 Si 1.65
O 0.6802 0.8507 0.5774  1 Si 1.65
Ge 0.1658 0.6837 0.8156  5 O 1.79-1.93
Ge 0.6673 0.6675 0.8128  6 O 1.87-1.97
Ge 0.8374 0.3364 0.6884  6 O 1.84-1.99
Ge 0.1665 0.6661 0.0198  6 O 1.87-1.97
Ge 0.8328 0.3334 0.9802  6 O 1.87-1.98
Ge 0.9920 0.9947 0.3545  5 O 1.82-1.94
Ge 0.8431 0.3529 0.1848  5 O 1.79-1.93
Ge 0.3388 0.3308 0.6832  5 O 1.82-1.95
Ge 0.4921 0.9949 0.3546  5 O 1.83-1.94
Ge 0.6661 0.6666 0.5196  6 O 1.87-1.96
Ge 0.1656 0.6656 0.5200  6 O 1.88-1.97
Ge 0.9928 0.9888 0.8554  5 O 1.82-1.93
Ge 0.9954 0.9846 0.6449  5 O 1.83-1.95
Ge 0.3329 0.3327 0.4799  6 O 1.87-1.98
Ge 0.4992 0.9992 0.6473  6 O 1.87-1.97
Ge 0.9948 0.0051 0.1456  5 O 1.83-1.95
Ge 0.3431 0.3529 0.1848  5 O 1.79-1.92
Ge 0.1665 0.6474 0.3151  5 O 1.79-1.93
Ge 0.3330 0.3351 0.9803  6 O 1.88-1.97
Ge 0.4948 0.0052 0.1455  5 O 1.83-1.95
Ge 0.6665 0.6666 0.0202  6 O 1.87-1.97
Ge 0.8336 0.3317 0.4802  6 O 1.87-1.98
Ge 0.4988 0.0003 0.8527  6 O 1.87-1.97
Ge 0.6665 0.6473 0.3152  5 O 1.79-1.93
Si 0.8317 0.0493 0.0841  4 O 1.63-1.65
Si 0.6907 0.3324 0.0845  4 O 1.62-1.65
Si 0.4784 0.3334 0.5820  4 O 1.63-1.64
Si 0.9790 0.6245 0.0826  4 O 1.62-1.65
Si 0.3070 0.9504 0.4162  4 O 1.63-1.65
Si 0.0244 0.6673 0.4153  4 O 1.62-1.65
Si 0.1906 0.3325 0.0847  4 O 1.62-1.65
Si 0.0034 0.7132 0.7499  4 O 1.63-1.66
Si 0.4789 0.6247 0.0827  4 O 1.62-1.65
Si 0.3086 0.6666 0.9154  4 O 1.64-1.65
Si 0.8588 0.0058 0.7499  4 O 1.62-1.66
Si 0.3550 0.7064 0.2498  4 O 1.63-1.66
Si 0.8072 0.9506 0.4160  4 O 1.63-1.65
Si 0.8318 0.6156 0.5833  4 O 1.63-1.65
Si 0.0019 0.2935 0.2501  4 O 1.63-1.66
Si 0.4988 0.7114 0.7497  4 O 1.64-1.66
Si 0.0242 0.3811 0.9153  4 O 1.62-1.65
Si 0.8549 0.7064 0.2498  4 O 1.63-1.66
Si 0.6664 0.9532 0.9166  4 O 1.64
Si 0.9770 0.3331 0.5842  4 O 1.62-1.65
Si 0.3329 0.6182 0.5843  4 O 1.64-1.65
Si 0.1666 0.3755 0.4174  4 O 1.61-1.65
Si 0.3317 0.0494 0.0839  4 O 1.63-1.65
Si 0.6903 0.0477 0.5838  4 O 1.63-1.65
Si 0.1900 0.0474 0.5837  4 O 1.63-1.65
Si 0.6438 0.2869 0.7503  4 O 1.63-1.65
Si 0.3527 0.9983 0.7497  4 O 1.64-1.65
Si 0.5019 0.2934 0.2501  4 O 1.63-1.66
Si 0.6667 0.3754 0.4175  4 O 1.62-1.65
Si 0.5243 0.6673 0.4152  4 O 1.62-1.65
Si 0.5232 0.3805 0.9163  4 O 1.64
Si 0.8084 0.6635 0.9174  4 O 1.63-1.65
Si 0.1669 0.9578 0.9178  4 O 1.61-1.65
Na 0.0182 0.3366 0.0835  6 O 2.35-2.57
Na 0.5003 0.9992 0.5007  6 O 2.42-2.51
Na 0.3314 0.3254 0.8331  6 O 2.41-2.49
Na 0.0006 0.0015 0.0003  6 O 2.43-2.49
Na 0.1667 0.0337 0.4175  5 O 2.34-2.54
Na 0.8498 0.6631 0.4164  6 O 2.35-2.57
Na 0.6668 0.0342 0.4177  5 O 2.34-2.55
Na 0.8322 0.6995 0.0836  6 O 2.34-2.58
Na 0.3329 0.9633 0.5836  6 O 2.35-2.58
Na 0.6493 0.3326 0.5840  6 O 2.35-2.58
Na 0.4825 0.3005 0.4164  6 O 2.34-2.58
Na 0.5181 0.3363 0.0836  6 O 2.35-2.58
Na 0.1638 0.6550 0.1689  6 O 2.36-2.55
Na 0.0173 0.6981 0.5836  6 O 2.33-2.56
Na 0.5183 0.7033 0.5829  6 O 2.35-2.57
Na 0.8360 0.3449 0.3311  6 O 2.36-2.54
Na 0.5006 0.3666 0.7508  6 O 2.33-2.59
Na 0.3323 0.6997 0.0834  6 O 2.34-2.59
Na 0.1493 0.3345 0.5820  5 O 2.34-2.52
Na 0.1632 0.6718 0.6686  6 O 2.35-2.54
Na 0.3180 0.9999 0.2500  4 O 2.28-2.50
Na 0.8179 0.9999 0.2500  4 O 2.28-2.50
Na 0.8501 0.0363 0.9165  6 O 2.32-2.58
Na 0.5002 0.0004 0.9992  6 O 2.44-2.51
Na 0.9824 0.3004 0.4166  6 O 2.34-2.58
Na 0.3362 0.3449 0.3310  6 O 2.35-2.55
Na 0.1498 0.9659 0.0827  5 O 2.34-2.53
Na 0.3507 0.0353 0.9163  6 O 2.34-2.59
Na 0.9827 0.6641 0.9165  6 O 2.34-2.59
Na 0.6637 0.6550 0.1690  6 O 2.35-2.54
Na 0.3500 0.6636 0.4163  6 O 2.35-2.60
Na 0.8379 0.3349 0.8313  6 O 2.38-2.52
Na 0.6853 0.0010 0.7495  6 O 2.35-2.59
Na 0.6663 0.2965 0.9164  6 O 2.35-2.56
Na 0.6497 0.9661 0.0825  5 O 2.34-2.56
Na 0.6673 0.6676 0.6669  6 O 2.44-2.46
Na 0.0002 0.9999 0.4999  6 O 2.44-2.50
Na 0.8326 0.9664 0.5834  6 O 2.33-2.60
Na 0.3173 0.6352 0.7505  4 O 2.27-2.49
Na 0.1671 0.3012 0.9182  5 O 2.33-2.53
Na 0.4820 0.6667 0.9165  6 O 2.35-2.58
Na 0.8164 0.6322 0.7497  5 O 2.29-2.57
S 0.1434 0.2862 0.7500  4 O 1.48-1.49
S 0.1431 0.0001 0.2501  4 O 1.48-1.49
S 0.6431 0.0002 0.2501  4 O 1.48-1.49

=====

Record 2
An optimized crystal structure of CaH2C2O5. Source: the Materials Project database, functional PBE-GGA.

## Properties
* total DFT energy (no corrections): -135.72 eV per cell
* energy of formation from the pure elements: -1.93 eV/atom
* total moment: 0.00 μB/cell
* excess energy over the best structure of this formula in the dataset: 27.0 meV/atom

a b c (Å): 6.3307 6.3307 6.4994
angles (deg): 76.01 76.01 71.64
Last column: nearest neighbours and their distance in Å.
Element x y z (fractional)
H 0.5458 0.6066 0.3831  1 O 0.97
H 0.6971 0.7125 0.4812  1 O 1.00
H 0.2875 0.3029 0.5188  1 O 1.00
H 0.3934 0.4542 0.6169  1 O 0.97
O 0.3429 0.3191 0.6448  2 H 0.97-1.00
O 0.5714 0.2064 0.0018  1 C 1.27
O 0.6809 0.6571 0.3552  2 H 0.97-1.00
O 0.0479 0.0484 0.7386  1 C 1.27
O 0.8071 0.8356 0.6110  1 C 1.27
O 0.9516 0.9521 0.2614  1 C 1.27
O 0.4266 0.7920 0.0066  1 C 1.27
O 0.1644 0.1929 0.3890  1 C 1.27
O 0.7936 0.4286 0.9982  1 C 1.27
O 0.2080 0.5734 0.9934  1 C 1.27
Ca 0.1826 0.1845 0.0043  8 O 2.38-2.52
Ca 0.8155 0.8174 0.9957  8 O 2.38-2.52
C 0.9263 0.9430 0.4626  2 O 1.27
C 0.0570 0.0737 0.5374  2 O 1.27
C 0.6063 0.3937 0.0000  2 O 1.27
C 0.3943 0.6057 0.0000  2 O 1.27

=====

Record 3
An optimized crystal structure of Ti2ZnO4. Source: the Materials Project database, functional PBE-GGA.

## Properties
* total DFT energy (no corrections): -212.59 eV per cell
* energy of formation from the pure elements: -2.72 eV/atom
* total moment: 1.60 μB/cell
* excess energy over the best structure of this formula in the dataset: 144.8 meV/atom

a b c (Å): 5.0359 5.8672 10.5748
angles (deg): 90.00 90.00 90.00
Last column: nearest neighbours and their distance in Å.
Element x y z (fractional)
Ti 0.0302 0.5000 0.2387  6 O 2.00-2.10
Ti 0.0302 0.5000 0.7613  6 O 2.00-2.10
Ti 0.5000 0.2500 0.7500  6 O 2.03-2.10
Ti 0.5000 0.7500 0.2500  6 O 2.03-2.10
Ti 0.9698 0.0000 0.2613  6 O 2.00-2.10
Ti 0.9698 0.0000 0.7387  6 O 2.00-2.10
Ti 0.5000 0.7500 0.7500  6 O 2.03-2.10
Ti 0.5000 0.2500 0.2500  6 O 2.03-2.10
O 0.3624 0.5000 0.1344  3 Ti 2.00-2.03, 1 Zn 2.05
O 0.1609 0.7511 0.3650  3 Ti 2.06-2.10, 2 Zn 2.24-2.28
O 0.8391 0.7489 0.1350  3 Ti 2.06-2.10, 2 Zn 2.24-2.28
O 0.1609 0.2489 0.6350  3 Ti 2.06-2.10, 2 Zn 2.24-2.28
O 0.3147 0.0000 0.8497  3 Ti 2.03-2.10, 1 Zn 2.12
O 0.3624 0.5000 0.8656  3 Ti 2.00-2.03, 1 Zn 2.05
O 0.8391 0.2511 0.8650  3 Ti 2.06-2.10, 2 Zn 2.24-2.28
O 0.1609 0.7511 0.6350  3 Ti 2.06-2.10, 2 Zn 2.24-2.28
O 0.6853 0.5000 0.6503  3 Ti 2.03-2.10, 1 Zn 2.12
O 0.3147 0.0000 0.1503  3 Ti 2.03-2.10, 1 Zn 2.12
O 0.6853 0.5000 0.3497  3 Ti 2.03-2.10, 1 Zn 2.12
O 0.6376 0.0000 0.6344  3 Ti 2.00-2.03, 1 Zn 2.05
O 0.8391 0.2511 0.1350  3 Ti 2.06-2.10, 2 Zn 2.24-2.28
O 0.1609 0.2489 0.3650  3 Ti 2.06-2.10, 2 Zn 2.24-2.28
O 0.8391 0.7489 0.8650  3 Ti 2.06-2.10, 2 Zn 2.24-2.28
O 0.6376 0.0000 0.3656  3 Ti 2.00-2.03, 1 Zn 2.05
Zn 0.3444 0.0000 0.5000  6 O 2.05-2.24
Zn 0.0357 0.0000 0.0000  6 O 2.12-2.28
Zn 0.9643 0.5000 0.5000  6 O 2.12-2.28
Zn 0.6556 0.5000 0.0000  6 O 2.05-2.24